Entry 1:
! meta-GGA r2SCAN In9Ag17, optimized geometry; values from VASP
&SYSTEM
  ibrav = 0, nat = 52, ntyp = 2
/
ATOMIC_SPECIES
Ag 107.87 Ag.upf
In 114.82 In.upf
ATOMIC_POSITIONS angstrom
Ag 3.5775 -5.1961 4.3282
Ag 2.0064 -0.2533 2.2387
Ag 6.3747 -3.5185 1.8850
Ag 5.0276 -7.7891 5.0595
Ag -0.1112 -2.4793 10.2658
Ag 4.9294 -0.6237 9.8640
Ag 2.9230 -2.9075 5.8505
Ag 5.2870 -2.1432 7.4044
Ag 5.6991 0.7543 7.4271
Ag 4.9743 4.0561 4.1992
Ag 7.1725 -0.9491 11.5671
Ag 8.6228 -3.6374 12.2209
Ag 8.4950 1.4339 6.9225
Ag 4.4681 -0.5990 5.0212
Ag 5.6416 3.9499 9.5544
Ag 12.1832 -1.6063 9.3403
Ag 7.7862 -3.5755 6.9697
Ag 7.3828 -0.9855 5.7213
Ag 7.2180 1.7378 1.9260
Ag 2.9689 -0.3638 7.5628
Ag 6.3852 -5.4059 11.8160
Ag 4.3262 -5.2846 9.6599
Ag 9.4773 -3.3306 9.2321
Ag 7.7081 -1.0291 8.6578
Ag 5.7595 -3.2473 4.7356
Ag 2.1384 -0.3746 10.3906
Ag 10.8900 -1.4732 4.2371
Ag 7.3105 -5.7189 5.1506
Ag 10.0435 0.7349 9.1640
Ag 0.6290 -2.1494 7.3154
Ag 9.3519 1.3192 12.2087
Ag 8.5987 3.4885 4.9295
Ag 6.4091 1.5743 4.7205
Ag 1.1385 1.8919 7.1898
In 2.8906 -2.8380 8.9911
In 1.4630 -0.3302 5.1474
In 6.5545 -3.3107 9.8462
In 4.3151 1.4913 2.7383
In 3.6231 2.0978 5.8272
In 8.5212 -3.2255 4.0267
In 3.4958 1.9671 9.1180
In -0.3068 0.0784 8.9114
In 9.1117 0.7916 4.0088
In 10.0269 -1.3092 11.2323
In 5.7798 -6.2107 2.7450
In 10.0053 -1.3476 7.0736
In 6.3759 3.6184 6.7806
In 6.4984 -0.8732 2.9142
In 5.0147 -5.0328 6.8391
In 7.2702 1.4785 9.8446
In 3.6677 -2.6082 2.9138
In 7.3189 4.5502 2.5834
CELL_PARAMETERS angstrom
-2.1923 0.3371 9.7217
5.8165 -7.9382 1.6078
7.8054 6.0814 1.5019
! Volume, Å³ per cell: 995

---

Entry 2:
! meta-GGA r2SCAN Sr, optimized geometry; values from VASP
&SYSTEM
  ibrav = 0, nat = 4, ntyp = 1
/
ATOMIC_SPECIES
Sr 87.62 Sr.upf
ATOMIC_POSITIONS angstrom
Sr 0.0000 0.0000 7.0924
Sr 0.0000 0.0000 0.0000
Sr 2.1506 1.2416 10.6386
Sr 0.0000 2.4833 3.5462
CELL_PARAMETERS angstrom
4.3012 0.0000 0.0000
-2.1506 3.7250 0.0000
0.0000 0.0000 14.1848
! Volume, Å³ per cell: 227
! ΔE to the lowest computed polymorph, eV per atom: 0.0270

---

Entry 3:
! meta-GGA r2SCAN KNa2, optimized geometry; values from VASP
&SYSTEM
  ibrav = 0, nat = 12, ntyp = 2
/
ATOMIC_SPECIES
Na 22.99 Na.upf
K 39.10 K.upf
ATOMIC_POSITIONS angstrom
Na 1.8521 1.0693 3.1053
Na 0.0000 0.0000 6.2107
Na 1.8423 5.3296 9.3160
Na 0.0000 0.0000 0.0000
Na -1.8423 5.3295 9.3160
Na 0.0000 2.1387 9.3160
Na 5.5367 1.0693 3.1053
Na 3.6944 4.2602 3.1053
K 3.6944 2.1330 11.6491
K 0.0000 4.2659 0.7723
K 0.0000 4.2659 5.4384
K 3.6944 2.1330 6.9830
CELL_PARAMETERS angstrom
7.3888 0.0000 0.0000
-3.6944 6.3989 0.0000
0.0000 0.0000 12.4214
! Volume, Å³ per cell: 587

---

Entry 4:
! meta-GGA r2SCAN MgSn4Ru, optimized geometry; values from VASP
&SYSTEM
  ibrav = 0, nat = 12, ntyp = 3
/
ATOMIC_SPECIES
Sn 118.71 Sn.upf
Mg 24.30 Mg.upf
Ru 101.07 Ru.upf
ATOMIC_POSITIONS angstrom
Sn -0.0885 -3.7662 2.9953
Sn 2.2855 -5.8022 -1.4152
Sn 1.2707 -2.7246 0.2234
Sn -1.1033 -0.6886 4.6338
Sn 5.6364 -4.4699 -1.8421
Sn 4.6216 -1.3923 -0.2036
Sn 2.2476 0.6436 4.2068
Sn 3.2624 -2.4339 2.5683
Mg 0.0000 0.0000 0.0000
Mg 3.0346 -2.9914 -2.2067
Ru 3.7839 -4.0750 0.2925
Ru 0.7492 -1.0835 2.4992
CELL_PARAMETERS angstrom
-0.4581 -6.2612 -2.5773
6.5273 0.2783 -1.8362
-1.5361 0.8244 7.2051
! Volume, Å³ per cell: 260

---

Entry 5:
! meta-GGA r2SCAN Si5Pt6, optimized geometry; values from VASP
&SYSTEM
  ibrav = 0, nat = 22, ntyp = 2
/
ATOMIC_SPECIES
Pt 195.08 Pt.upf
Si 28.09 Si.upf
ATOMIC_POSITIONS angstrom
Pt 6.5504 0.2250 2.6334
Pt 4.2548 -2.7940 0.8980
Pt 2.6417 -1.4874 2.9650
Pt 8.2592 0.3920 5.0519
Pt 12.1679 2.1044 4.7203
Pt 2.2998 -4.4740 -0.2305
Pt 2.9666 1.0108 4.0226
Pt 10.5548 3.4110 6.7873
Pt 7.1593 2.8164 3.7959
Pt 11.8430 -0.3938 3.6627
Pt 12.5098 5.0910 7.9158
Pt 7.6503 -2.1994 3.8894
Si 10.9734 5.6277 5.8148
Si 9.3778 -0.2970 3.1082
Si 10.5360 0.6061 5.6829
Si 1.9537 -2.1205 0.6091
Si 12.8559 2.7375 7.0762
Si 6.3686 -1.9439 1.7393
Si 5.4318 0.9140 4.5771
Si 3.8362 -5.0107 1.8705
Si 4.2736 0.0109 2.0024
Si 8.4411 2.5609 5.9460
CELL_PARAMETERS angstrom
-0.7705 -1.2572 3.2064
3.0846 -5.1984 -1.2971
12.4956 7.0726 5.7760
! Volume, Å³ per cell: 337

---

Entry 6:
! meta-GGA r2SCAN SiRu2, optimized geometry; values from VASP
&SYSTEM
  ibrav = 0, nat = 12, ntyp = 2
/
ATOMIC_SPECIES
Ru 101.07 Ru.upf
Si 28.09 Si.upf
ATOMIC_POSITIONS angstrom
Ru 1.0025 2.5637 5.8278
Ru 1.0025 4.3955 0.4833
Ru 3.0076 0.8780 6.9145
Ru 3.0076 3.5148 4.1822
Ru 1.0025 1.7588 3.2156
Ru 1.0025 5.2005 5.2688
Ru 3.0076 0.0731 2.1289
Ru 3.0076 2.7099 1.5699
Si 1.0025 4.2169 2.9758
Si 3.0076 1.0566 4.4220
Si 1.0025 1.5802 0.7231
Si 3.0076 3.6934 6.6747
CELL_PARAMETERS angstrom
4.0101 0.0000 0.0000
0.0000 5.2736 0.0000
0.0000 0.0000 7.3978
! Volume, Å³ per cell: 156

---

no.,calculated formation energy (eV per atom)
1,-0.046
2,0.027
3,0.003
4,-0.177
5,-0.721
6,-0.399